Density functional theory data (PBE) for an optimized crystal structure of RbDyO2.

Output
Total energy   -26.28 eV for the cell shown

Structure (CIF):
```
data_RbDyO2
_symmetry_space_group_name_H-M 'P 1'
_symmetry_Int_Tables_number 1
_cell_length_a 3.513
_cell_length_b 3.513
_cell_length_c 6.870
_cell_angle_alpha 75.19
_cell_angle_beta 75.19
_cell_angle_gamma 60.00
loop_
_symmetry_equiv_pos_as_xyz
'x,y,z'
loop_
_atom_site_label
_atom_site_fract_x
_atom_site_fract_y
_atom_site_fract_z
Rb1 0.000 0.000 0.000
Dy1 0.500 0.500 0.500
O1 0.775 0.775 0.675
O2 0.225 0.225 0.325
```